[1]
! LiMn2F6 PBE+U relaxed; values from VASP
&SYSTEM
  ibrav = 0, nat = 27, ntyp = 3
/
ATOMIC_SPECIES
F 19.00 F.upf
Mn 54.94 Mn.upf
Li 6.94 Li.upf
CELL_PARAMETERS angstrom
-6.104 6.333 -1.126
0.382 -6.841 -5.629
-2.978 -2.390 2.702
ATOMIC_POSITIONS angstrom
F -6.780 -0.567 -2.042
F -2.604 -7.171 -3.109
F -2.040 -2.206 -2.033
F -3.894 -2.506 -4.341
F -2.057 0.082 -0.199
F -4.176 -0.223 -2.602
Mn -5.418 -1.544 -3.287
Mn -3.932 4.079 -0.725
F -6.792 1.667 -0.078
F -1.796 -4.555 -3.842
Li 0.000 0.000 0.000
F -6.646 -2.941 -3.821
Mn -3.402 0.790 0.998
Li -5.474 0.712 -1.237
F -4.799 -0.527 0.177
Mn -2.037 -0.181 -2.404
F -4.383 -5.212 -3.538
F -2.824 -2.641 0.655
Li -3.226 -3.610 -2.816
F -3.965 1.949 -0.450
F -4.855 -2.704 -1.840
F -2.613 -4.658 -1.098
F -6.109 2.155 -2.630
Mn 0.246 -4.406 -3.626
F -5.841 -0.294 -4.702
Mn -1.369 -3.339 -0.413
F -6.129 4.270 -0.983
! * maximum piezoelectric response: 0.5 C/m²
! * space-group type: P321 (150)
! * formation enthalpy at 0 K: -2.9296 eV per atom

=====

[2]
! LiMnF5 PBE+U relaxed; values from VASP
&SYSTEM
  ibrav = 0, nat = 14, ntyp = 3
/
ATOMIC_SPECIES
F 19.00 F.upf
Li 6.94 Li.upf
Mn 54.94 Mn.upf
CELL_PARAMETERS angstrom
5.287 -0.163 -0.177
2.483 5.036 -0.184
-0.319 2.712 6.592
ATOMIC_POSITIONS angstrom
F 0.639 0.714 1.662
F 4.439 2.634 2.254
F 3.728 6.823 6.328
F 5.789 3.891 5.518
F 6.090 5.290 2.641
Li 5.261 4.100 1.328
Mn 0.000 0.000 0.000
F 6.812 6.871 4.568
F 3.012 4.951 3.977
Li 2.190 3.485 4.903
F 1.361 2.295 3.589
F 3.723 0.762 -0.097
Mn -0.159 1.356 3.296
F 1.663 3.694 0.713
! * M_tot: 0.429 μB/atom
! * space-group type: P-1 (2)
! * formation enthalpy at 0 K: -2.6827 eV per atom

=====

[3]
! LiMnF3 PBE+U relaxed; values from VASP
&SYSTEM
  ibrav = 0, nat = 30, ntyp = 3
/
ATOMIC_SPECIES
F 19.00 F.upf
Li 6.94 Li.upf
Mn 54.94 Mn.upf
CELL_PARAMETERS angstrom
2.409 -6.546 -1.479
5.950 1.284 3.984
-4.797 -1.203 6.246
ATOMIC_POSITIONS angstrom
F 4.137 -5.674 7.736
F -0.921 -5.537 5.837
F -0.970 -1.375 4.288
F 1.736 -5.480 1.312
F 3.455 -1.955 5.284
Li 2.288 -2.528 6.645
Mn -0.904 -3.399 4.976
F 5.907 -4.231 2.391
F 1.693 -6.134 5.544
Mn 0.306 -6.569 4.078
Li 3.508 -5.901 5.820
Mn 1.884 -4.985 -0.705
Mn 3.256 0.103 4.674
F 1.826 -0.986 7.439
Li 2.922 -1.240 1.931
F -2.345 -2.234 6.360
Li 0.640 -5.225 6.821
F 4.532 -5.090 4.464
Mn 1.678 -1.480 9.456
F -0.575 -0.792 1.016
F 2.858 -3.044 2.471
F 3.134 -3.001 8.391
Li 0.054 -0.565 2.932
Li 1.274 -3.937 2.107
Mn 4.466 -3.067 3.776
F 0.107 -4.510 3.467
F 0.704 -3.422 6.281
F 0.428 -3.464 0.361
F 4.483 -0.929 2.915
F 1.869 -0.332 3.208
! * M_tot: 1.000 μB/atom
! * space-group type: P-1 (2)
! * formation enthalpy at 0 K: -2.9793 eV per atom

=====

[4]
! Li3MnF6 PBE+U relaxed; values from VASP
&SYSTEM
  ibrav = 0, nat = 40, ntyp = 3
/
ATOMIC_SPECIES
Li 6.94 Li.upf
F 19.00 F.upf
Mn 54.94 Mn.upf
CELL_PARAMETERS angstrom
-5.396 -0.374 -1.345
1.087 -8.404 -2.027
-1.886 -4.098 8.708
ATOMIC_POSITIONS angstrom
Li -2.292 -8.855 0.350
F -1.256 -3.698 -1.090
F -2.136 -7.938 2.034
Mn -0.943 -2.049 4.354
F -0.475 -3.269 2.507
F -4.059 -4.937 3.302
F -6.296 -7.308 4.751
F -3.452 -8.950 -2.412
F -2.743 -3.926 7.748
Li -4.105 -7.285 -1.442
F -3.973 -5.495 6.225
F -3.730 -10.953 2.108
Mn -3.098 -6.438 2.668
F 0.101 -5.567 0.585
F -2.466 -1.923 3.228
F -4.939 -9.177 6.426
Li -3.903 -4.020 4.986
Li -0.650 -10.725 5.348
F -5.721 -9.606 2.828
Mn -2.698 -0.187 -0.672
Li -2.091 -5.591 6.777
F -4.642 -7.173 1.911
F -2.222 -7.380 -0.889
Mn 0.544 -4.202 -1.014
F -4.503 -2.985 -1.398
F -3.280 -7.785 4.332
Li -5.168 -5.403 1.066
F -1.693 -9.891 6.733
F -1.892 -3.366 5.320
Li -2.367 -3.626 2.120
Li -5.545 -2.150 -0.012
Li -1.881 -5.548 -0.532
Li -3.829 -9.249 3.216
F -2.915 -5.091 1.004
F -2.149 -1.400 0.668
Li -4.314 -7.328 5.868
Li -1.027 -7.472 4.270
F -1.553 -5.703 3.425
F -4.047 -11.475 4.668
F -4.303 -9.509 0.016
! * M_tot: 0.400 μB/atom
! * space-group type: P2_1/c (14)
! * formation enthalpy at 0 K: -2.9523 eV per atom

=====

- Look up the formation enthalpy at 0 K of the third one.
  -2.9793 eV per atom